Li3In | Materials Project | PBE | relaxed; total DFT energy (no corrections) = -2.35 eV per atom; crystal system = tetragonal; ΔE to the lowest computed polymorph = 0.009 eV per atom; SG = I4/mmm; energy relative to the elements = -0.23 eV per atom
1.0
4.6089 -2.5139 0.9180
1.9600 0.7720 4.8956
-4.7398 -1.4508 -1.9580
Li In
3 1
Direct
0.5000 0.5000 0.0000
0.2500 0.7500 0.5000
0.7500 0.2500 0.5000
0.0000 0.0000 0.0000



Li2LuIn | Materials Project | PBE | relaxed; total DFT energy (no corrections) = -3.02 eV per atom; crystal system = cubic; SG = Fm-3m; energy relative to the elements = -0.24 eV per atom
1.0
0.0000 3.3877 3.3877
3.3877 0.0000 3.3877
3.3877 3.3877 0.0000
Li Lu In
2 1 1
Direct
0.7500 0.7500 0.7500
0.2500 0.2500 0.2500
0.0000 0.0000 0.0000
0.5000 0.5000 0.5000



LiLuIn2 | Materials Project | PBE | relaxed; total DFT energy (no corrections) = -3.33 eV per atom; crystal system = cubic; SG = Fm-3m; energy relative to the elements = -0.35 eV per atom
1.0
0.0000 3.6002 3.6002
3.6002 0.0000 3.6002
3.6002 3.6002 0.0000
Li Lu In
1 1 2
Direct
0.5000 0.5000 0.5000
0.0000 0.0000 0.0000
0.2500 0.2500 0.2500
0.7500 0.7500 0.7500



Li2MgIn | Materials Project | PBE | relaxed; total DFT energy (no corrections) = -2.27 eV per atom; crystal system = cubic; SG = Fm-3m; energy relative to the elements = -0.23 eV per atom
1.0
4.0475 -1.6255 -1.8836
-0.0908 -2.4623 -4.0622
1.7089 1.9341 -3.9889
Li Mg In
2 1 1
Direct
0.2500 0.2500 0.2500
0.7500 0.7500 0.7500
0.5000 0.5000 0.5000
0.0000 0.0000 0.0000



LiMgIn2 | Materials Project | PBE | relaxed; total DFT energy (no corrections) = -2.34 eV per atom; crystal system = cubic; SG = F-43m; energy relative to the elements = -0.09 eV per atom
1.0
-0.1019 2.1487 4.5904
-3.1826 -1.7384 3.5424
1.8049 -2.5132 4.0157
In Li Mg
2 1 1
Direct
0.7500 0.7500 0.7500
0.0000 0.0000 0.0000
0.5000 0.5000 0.5000
0.2500 0.2500 0.2500



LiInTe6Mo6 | Materials Project | PBE | relaxed; total DFT energy (no corrections) = -6.58 eV per atom; crystal system = hexagonal; size of the total moment = 0.00 μB per formula unit; SG = P-6; energy relative to the elements = -0.25 eV per atom
1.0
5.0258 -8.7050 0.0000
5.0258 8.7050 0.0000
0.0000 0.0000 4.6059
Li Mo Te In
1 6 6 1
Direct
0.0000 0.0000 0.5000
0.4751 0.8297 0.5000
0.3546 0.5249 0.5000
0.3145 0.8102 0.0000
0.4957 0.6855 0.0000
0.1703 0.6454 0.5000
0.1898 0.5043 0.0000
0.3703 0.3622 0.0000
0.6845 0.7172 0.5000
0.0327 0.3155 0.5000
0.9919 0.6297 0.0000
0.2828 0.9673 0.5000
0.6378 0.0081 0.0000
0.6667 0.3333 0.0000



LiNd4Nb2In2O14 | Materials Project | PBE | relaxed; total DFT energy (no corrections) = -7.68 eV per atom; crystal system = monoclinic; size of the total moment = 1.01 μB per formula unit; SG = Cm; energy relative to the elements = -3.06 eV per atom
1.0
6.6495 -2.5405 2.9732
-0.0663 4.0598 -6.4346
4.8598 4.9625 3.0809
O In Nd Li Nb
14 2 4 1 2
Direct
0.7711 0.0899 0.0768
0.2537 0.9226 0.8886
0.8206 0.9180 0.3397
0.2537 0.9226 0.3577
0.7015 0.3494 0.8993
0.7629 0.6757 0.0961
0.7711 0.0899 0.6522
0.2384 0.6006 0.6308
0.1079 0.0734 0.6961
0.2602 0.3241 0.3361
0.2602 0.3241 0.9037
0.7629 0.6757 0.6411
0.7363 0.3645 0.3819
0.3009 0.6532 0.0996
0.4866 0.9989 0.0067
0.5113 0.5103 0.9944
0.9973 0.5209 0.4967
0.5061 0.5017 0.4970
0.5188 0.9951 0.4906
0.9973 0.5209 0.0060
0.9578 0.2235 0.7711
0.0117 0.0065 0.4807
0.0117 0.0065 0.0076



LiInO2 | Materials Project | PBE | relaxed; total DFT energy (no corrections) = -5.36 eV per atom; crystal system = tetragonal; SG = I4_1md; energy relative to the elements = -2.06 eV per atom
1.0
2.4063 -4.9449 -1.2460
-0.2876 -3.7416 4.2086
-3.7638 3.3061 -2.5881
O In Li
4 2 2
Direct
0.9861 0.4861 0.5000
0.2361 0.2361 0.0000
0.7674 0.7674 0.0000
0.5174 0.0174 0.5000
0.0042 0.0042 0.0000
0.7542 0.2542 0.5000
0.5222 0.5222 0.0000
0.2722 0.7722 0.5000



Li2InP2O8 | Materials Project | PBE | relaxed; total DFT energy (no corrections) = -6.42 eV per atom; crystal system = monoclinic; size of the total moment = 1.00 μB per formula unit; SG = P2_1/c; energy relative to the elements = -2.46 eV per atom
1.0
8.4430 0.0000 0.0000
0.0000 4.9146 0.0000
0.0000 3.6626 7.7059
O Li P In
16 4 4 2
Direct
0.4323 0.2705 0.9387
0.6810 0.3080 0.3303
0.8190 0.3080 0.8303
0.6814 0.8163 0.7006
0.3190 0.6920 0.6697
0.5464 0.7568 0.3428
0.3186 0.1837 0.2994
0.9323 0.7295 0.5613
0.1810 0.6920 0.1697
0.0464 0.2432 0.1572
0.1814 0.1837 0.7994
0.5677 0.7295 0.0613
0.4536 0.2432 0.6572
0.0677 0.2705 0.4387
0.8186 0.8163 0.2006
0.9536 0.7568 0.8428
0.8728 0.0517 0.3390
0.1272 0.9483 0.6610
0.3728 0.9483 0.1610
0.6272 0.0517 0.8390
0.6567 0.6544 0.2337
0.3433 0.3456 0.7663
0.1567 0.3456 0.2663
0.8433 0.6544 0.7337
0.0000 0.0000 0.0000
0.5000 0.0000 0.5000



Li5Ti7InP12O48 | Materials Project | PBE | relaxed; total DFT energy (no corrections) = -7.57 eV per atom; crystal system = triclinic; size of the total moment = 0.00 μB per formula unit; SG = P1; energy relative to the elements = -2.95 eV per atom
1.0
8.6352 0.0000 0.0000
-4.2901 7.5113 0.0000
-4.2973 -2.5054 14.1494
O P Ti Li In
48 12 7 5 1
Direct
0.0596 0.2719 0.5425
0.2319 0.7668 0.2068
0.9967 0.4701 0.0980
0.4133 0.9468 0.7114
0.0843 0.6849 0.6273
0.5752 0.7005 0.1178
0.6228 0.1916 0.0025
0.6256 0.6951 0.5009
0.5580 0.2019 0.6146
0.5136 0.6358 0.9391
0.8085 0.6896 0.6892
0.7650 0.2173 0.7907
0.8946 0.8034 0.8676
0.3757 0.3060 0.4986
0.7701 0.7376 0.2945
0.7456 0.9451 0.0320
0.5013 0.8689 0.5589
0.2710 0.5550 0.4709
0.2293 0.2633 0.7094
0.8047 0.1874 0.1880
0.2693 0.0765 0.9741
0.4431 0.7999 0.3838
0.1259 0.8505 0.3479
0.0041 0.0292 0.4035
0.8815 0.6449 0.1652
0.0000 0.9718 0.5976
0.7290 0.4454 0.5279
0.4659 0.3180 0.8892
0.0241 0.7577 0.0422
0.0862 0.1950 0.1364
0.3042 0.6271 0.7506
0.9162 0.3059 0.3649
0.8766 0.1514 0.6520
0.6908 0.3690 0.2513
0.4163 0.4517 0.2231
0.5185 0.3823 0.0639
0.4988 0.1328 0.4375
0.9409 0.2173 0.9574
0.1913 0.8239 0.7993
0.3060 0.1263 0.2517
0.9603 0.5038 0.9027
0.9432 0.7297 0.4584
0.3977 0.8115 0.0102
0.1940 0.3097 0.3129
0.5842 0.0464 0.2792
0.1259 0.3615 0.8501
0.5812 0.5438 0.7783
0.6809 0.8642 0.7423
0.9607 0.8363 0.3759
0.5401 0.2711 0.5196
0.7491 0.2276 0.2707
0.4645 0.2373 0.9823
0.9488 0.3267 0.8758
0.0407 0.1641 0.6245
0.5540 0.7723 0.0232
0.2471 0.7711 0.7234
0.4592 0.7286 0.4783
0.7438 0.7279 0.7682
0.2511 0.2708 0.2308
0.0375 0.6618 0.1285
0.6451 0.5391 0.1837
0.8577 0.7112 0.5704
0.8579 0.2094 0.0721
0.3489 0.4633 0.8183
0.1415 0.2871 0.4286
0.3590 0.9631 0.3212
0.6394 0.0351 0.6755
0.5004 0.7512 0.2501
0.7510 0.5702 0.9306
0.4930 0.2437 0.7453
0.0016 0.5018 0.5007
0.0045 0.0096 0.0004
0.1506 0.7920 0.9292



Li4ScIn3Si8O24 | Materials Project | PBE | relaxed; total DFT energy (no corrections) = -7.15 eV per atom; crystal system = monoclinic; size of the total moment = 0.00 μB per formula unit; SG = P2; energy relative to the elements = -2.95 eV per atom
1.0
9.1872 0.0000 0.0000
0.0000 5.4390 0.0000
0.0000 1.9374 9.3195
Si O Li In Sc
8 24 4 3 1
Direct
0.9153 0.2281 0.3012
0.5850 0.7713 0.2000
0.9153 0.7719 0.6988
0.0861 0.2726 0.6984
0.4151 0.7274 0.8003
0.0861 0.7274 0.3016
0.5850 0.2287 0.8000
0.4151 0.2726 0.1997
0.7565 0.7573 0.6281
0.5155 0.9448 0.8523
0.0848 0.2084 0.8767
0.2450 0.2717 0.6241
0.5802 0.7072 0.3782
0.5155 0.0552 0.1477
0.2566 0.7442 0.8710
0.9862 0.9451 0.3537
0.9167 0.7087 0.8774
0.7565 0.2427 0.3719
0.0156 0.5552 0.6468
0.2450 0.7283 0.3759
0.7434 0.2436 0.8713
0.0848 0.7916 0.1233
0.0156 0.4448 0.3532
0.4152 0.7823 0.6218
0.4847 0.4444 0.8539
0.2566 0.2558 0.1290
0.5802 0.2928 0.6218
0.9862 0.0549 0.6463
0.7434 0.7564 0.1287
0.4152 0.2177 0.3782
0.4847 0.5556 0.1461
0.9167 0.2913 0.1226
0.2486 0.0000 0.0000
0.2533 0.0000 0.5000
0.7467 0.5000 0.5000
0.7514 0.5000 0.0000
0.1088 0.5000 0.0000
0.6068 0.0000 0.5000
0.8912 0.0000 0.0000
0.3893 0.5000 0.5000



Li2PmIn | Materials Project | PBE | relaxed; total DFT energy (no corrections) = -3.14 eV per atom; crystal system = cubic; SG = Fm-3m; energy relative to the elements = -0.31 eV per atom
1.0
4.9050 0.0272 0.5611
1.9817 -0.8628 4.4388
2.4110 -4.2240 0.8481
Li Pm In
2 1 1
Direct
0.2500 0.2500 0.2500
0.7500 0.7500 0.7500
0.5000 0.5000 0.5000
0.0000 0.0000 0.0000



Li2PrIn | Materials Project | PBE | relaxed; total DFT energy (no corrections) = -3.16 eV per atom; crystal system = cubic; SG = Fm-3m; energy relative to the elements = -0.32 eV per atom
1.0
0.0000 3.5237 3.5237
3.5237 0.0000 3.5237
3.5237 3.5237 0.0000
Li Pr In
2 1 1
Direct
0.2500 0.2500 0.2500
0.7500 0.7500 0.7500
0.5000 0.5000 0.5000
0.0000 0.0000 0.0000



LiIn2Pt | Materials Project | PBE | relaxed; total DFT energy (no corrections) = -3.86 eV per atom; crystal system = cubic; SG = Fm-3m; energy relative to the elements = -0.49 eV per atom
1.0
0.4782 4.5809 0.8437
4.1634 1.7242 1.2720
2.4275 2.6865 -2.9690
Pt In Li
1 2 1
Direct
0.5000 0.5000 0.5000
0.2500 0.2500 0.2500
0.7500 0.7500 0.7500
0.0000 0.0000 0.0000



Li2InPt | Materials Project | PBE | relaxed; total DFT energy (no corrections) = -3.73 eV per atom; crystal system = cubic; SG = F-43m; energy relative to the elements = -0.57 eV per atom
1.0
-2.2298 3.0389 -2.4832
-1.1826 -0.9833 -4.2435
-4.3411 -0.6778 -1.0336
Pt In Li
1 1 2
Direct
0.0000 0.0000 0.0000
0.2500 0.2500 0.2500
0.5000 0.5000 0.5000
0.7500 0.7500 0.7500



LiInPt | Materials Project | PBE | relaxed; total DFT energy (no corrections) = -4.09 eV per atom; crystal system = hexagonal; size of the total moment = 0.00 μB per formula unit; SG = P-6m2; energy relative to the elements = -0.51 eV per atom
1.0
2.2893 1.3645 -3.5509
2.0818 -0.6536 3.8667
0.5056 -2.7792 -0.7420
In Pt Li
1 1 1
Direct
0.6667 0.3333 0.5000
0.0000 0.0000 0.0000
0.3333 0.6667 0.0000



LiIn2Rh | Materials Project | PBE | relaxed; total DFT energy (no corrections) = -4.10 eV per atom; crystal system = cubic; SG = Fm-3m; energy relative to the elements = -0.41 eV per atom
1.0
1.6384 -3.9251 -1.8058
-2.9207 -3.3020 -1.3847
-0.5351 -0.8699 -4.5065
In Li Rh
2 1 1
Direct
0.2500 0.2500 0.2500
0.7500 0.7500 0.7500
0.0000 0.0000 0.0000
0.5000 0.5000 0.5000



Li2InRh | Materials Project | PBE | relaxed; total DFT energy (no corrections) = -3.86 eV per atom; crystal system = cubic; SG = F-43m; energy relative to the elements = -0.38 eV per atom
1.0
-3.4759 -0.5916 -2.7500
-3.2681 3.0476 -0.1602
-0.4609 2.5962 -3.6113
In Li Rh
1 2 1
Direct
0.7500 0.7500 0.7500
0.5000 0.5000 0.5000
0.2500 0.2500 0.2500
0.0000 0.0000 0.0000



LiIn2Ru | Materials Project | PBE | relaxed; total DFT energy (no corrections) = -4.32 eV per atom; crystal system = cubic; size of the total moment = 0.00 μB per formula unit; SG = Fm-3m; energy relative to the elements = -0.15 eV per atom
1.0
-3.2650 -3.2650 0.0000
-3.2650 0.0000 -3.2650
0.0000 -3.2650 -3.2650
In Li Ru
2 1 1
Direct
0.2500 0.2500 0.2500
0.7500 0.7500 0.7500
0.0000 0.0000 0.0000
0.5000 0.5000 0.5000



LiInS2 | Materials Project | PBE | relaxed; total DFT energy (no corrections) = -4.17 eV per atom; crystal system = orthorhombic; SG = Pna2_1; energy relative to the elements = -1.18 eV per atom
1.0
-5.8313 2.1700 2.0635
-2.3481 -0.0228 -6.6115
-2.5358 -7.6956 0.9271
Li S In
4 8 4
Direct
0.5708 0.0890 0.3835
0.0708 0.4110 0.8835
0.0708 0.9110 0.6165
0.5708 0.5890 0.1165
0.1924 0.0847 0.3746
0.6924 0.4153 0.8746
0.1924 0.5847 0.1254
0.1812 0.5784 0.6314
0.6812 0.4216 0.3686
0.1812 0.0784 0.8686
0.6924 0.9153 0.6254
0.6812 0.9216 0.1314
0.5627 0.0813 0.8757
0.0627 0.9187 0.1243
0.0627 0.4187 0.3757
0.5627 0.5813 0.6243